A relaxed structure of Cu2HgI4. Source: Materials Project, functional PBE.

The value obtained for the maximum piezoelectric response is 0.1 C/m2. The calculation puts the formation energy at -446 meV/atom.

The structure belongs to space group I-42m (No. 121); the cell edges are 6.206, 6.206 and 12.585 Å and the angles 90.00°, 90.00° and 90.00°. The distinct sites, in fractional coordinates, are Cu at (0.000, 0.500, 0.250), Hg at (0.000, 0.000, 0.000) and I at (0.233, 0.233, 0.366).